Record 1
Density functional theory data (PBE-GGA) for crystalline HoP2O2 at its relaxed geometry.

Values from the calculation:
E_form: -1.54 eV per atom
Magnetic moment: 0.00 μB/f.u.
E_tot: -126.570 eV/cell
Symmetry: I4_1/amd, No. 141

Cell and atoms, written as POSCAR:
```
HoP2O2
1.0
0.101 4.739 8.948
-9.556 -2.230 2.500
6.839 -6.950 -2.732
O P Ho
8 8 4
Cartesian
0.476 -3.235 5.694 O
-0.974 -2.665 0.140 O
-7.476 -0.042 8.330 O
-4.494 -3.833 6.672 O
-2.086 -6.423 0.045 O
-7.334 -2.928 4.128 O
2.883 -5.824 -0.934 O
-1.116 0.221 4.343 O
-3.072 -4.268 7.216 P
1.243 -1.905 5.310 P
1.562 -0.651 7.471 P
-2.854 -7.753 0.429 P
-0.900 -1.151 0.595 P
-8.063 -2.678 2.745 P
-0.387 -0.030 5.725 P
2.006 0.673 5.375 P
0.553 -0.239 2.985 Ho
-0.755 -2.459 7.343 Ho
4.023 -1.345 6.093 Ho
0.603 2.130 7.459 Ho
```

Record 2
Density functional theory data (PBE-GGA) for crystalline BaTm2CuO5 at its relaxed geometry.

Values from the calculation:
E_form: -3.12 eV per atom
Magnetic moment: 1.01 μB/f.u.
E_tot: -257.558 eV/cell
Symmetry: Pnma, No. 62

Cell and atoms, written as POSCAR:
```
BaTm2CuO5
1.0
-3.420 -0.374 4.481
3.436 -5.883 2.132
7.689 6.824 6.437
Cu Ba O Tm
4 4 20 8
Cartesian
1.012 0.377 6.145 Cu
4.638 4.163 9.228 Cu
3.068 -3.596 3.822 Cu
6.694 0.190 6.905 Cu
3.499 1.253 8.116 Ba
4.206 -0.686 4.933 Ba
9.294 0.598 8.923 Ba
-1.588 -0.031 4.127 Ba
5.560 -1.255 7.675 O
5.032 -3.187 3.590 O
7.246 -1.070 5.466 O
4.928 3.981 11.190 O
3.337 -3.372 5.811 O
8.138 1.489 6.351 O
5.186 1.578 5.870 O
2.673 3.754 9.460 O
6.614 4.165 8.980 O
-0.433 -0.922 6.699 O
0.459 1.637 7.584 O
2.778 -3.414 1.860 O
1.262 -0.736 4.478 O
2.519 -1.011 7.180 O
6.443 1.303 8.572 O
4.368 3.940 7.238 O
7.484 0.482 11.093 O
1.092 -3.598 4.069 O
2.145 1.822 5.375 O
0.221 0.085 1.956 O
1.741 1.198 3.209 Tm
3.911 3.218 5.034 Tm
5.965 -0.631 9.841 Tm
6.524 3.002 7.010 Tm
1.078 -1.926 2.443 Tm
1.181 -2.435 6.039 Tm
3.795 -2.651 8.016 Tm
6.627 2.493 10.607 Tm
```

Record 3
Density functional theory data (PBE-GGA) for crystalline SrAl2Ge2 at its relaxed geometry.

Values from the calculation:
E_form: -0.39 eV per atom
E_tot: -20.399 eV/cell
Symmetry: P-3m1, No. 164

Cell and atoms, written as POSCAR:
```
SrAl2Ge2
1.0
-1.029 1.927 3.657
-2.876 -2.404 -2.023
2.330 -5.999 3.817
Ge Al Sr
2 2 1
Cartesian
0.052 -3.887 4.543 Ge
-1.627 -2.590 0.907 Ge
-0.772 -1.763 3.192 Al
-0.802 -4.714 2.258 Al
0.000 0.000 0.000 Sr
```

Record 4
Density functional theory data (PBE-GGA) for crystalline AsPd3Pb2 at its relaxed geometry.

Values from the calculation:
E_form: -0.33 eV per atom
E_tot: -59.255 eV/cell
Symmetry: Cmc2_1, No. 36

Cell and atoms, written as POSCAR:
```
AsPd3Pb2
1.0
3.063 6.270 -0.473
-6.785 -0.751 -1.525
-1.387 1.102 5.629
Pd Pb As
6 4 2
Cartesian
-1.207 3.912 2.030 Pd
-0.841 3.847 -0.960 Pd
-3.574 2.223 1.777 Pd
-4.882 6.305 3.621 Pd
-3.209 2.159 -1.213 Pd
-0.863 0.822 2.592 Pd
0.421 6.130 0.095 Pb
-5.898 1.624 -0.580 Pb
0.948 4.871 3.565 Pb
-5.371 0.365 2.890 Pb
-3.040 4.227 0.249 As
-2.194 2.494 3.891 As
```

Record 5
Density functional theory data (PBE-GGA) for crystalline UBi2 at its relaxed geometry.

Values from the calculation:
E_form: 0.04 eV per atom
E_tot: -37.882 eV/cell
Symmetry: P4/nmm, No. 129

Cell and atoms, written as POSCAR:
```
UBi2
1.0
4.484 0.000 0.000
0.000 4.484 0.000
0.000 0.000 9.017
Bi U
4 2
Cartesian
2.242 0.000 3.211 Bi
0.000 0.000 0.000 Bi
2.242 2.242 0.000 Bi
0.000 2.242 5.807 Bi
2.242 0.000 6.465 U
0.000 2.242 2.553 U
```

Record 6
Density functional theory data (PBE-GGA) for crystalline Sr3Re2N4 at its relaxed geometry.

Values from the calculation:
E_form: -0.46 eV per atom
Magnetic moment: 0.00 μB/f.u.
E_tot: -132.040 eV/cell
Symmetry: C2/c, No. 15
Distance to the lowest polymorph of the same formula: 107 meV/atom

Cell and atoms, written as POSCAR:
```
Sr3Re2N4
1.0
7.382 -0.351 -0.389
-5.948 7.601 0.000
-0.396 -0.310 5.542
N Re Sr
8 4 6
Cartesian
-4.042 6.893 2.800 N
-0.031 2.176 0.029 N
1.068 4.764 5.124 N
-1.563 5.169 0.494 N
2.601 1.771 4.659 N
5.079 0.047 2.353 N
2.542 2.254 1.888 N
-1.505 4.686 3.265 N
1.812 3.118 0.258 Re
-2.226 6.086 2.124 Re
3.264 0.854 3.029 Re
-0.774 3.822 4.895 Re
-2.409 2.874 1.386 Sr
-3.936 4.417 4.157 Sr
0.842 5.374 2.262 Sr
-0.728 6.971 5.033 Sr
1.766 -0.031 0.120 Sr
0.196 1.566 2.891 Sr
```

Record 7
Density functional theory data (PBE-GGA) for crystalline PdC8N2Cl6 at its relaxed geometry.

Values from the calculation:
E_form: 1.18 eV per atom
Magnetic moment: 1.50 μB/f.u.
E_tot: -663.760 eV/cell
Symmetry: Fd-3c, No. 228

Cell and atoms, written as POSCAR:
```
PdC8N2Cl6
1.0
-15.715 -4.758 -2.023
-9.291 -3.680 13.185
-12.335 10.066 4.497
C Cl N Pd
64 48 16 8
Cartesian
-5.975 0.261 2.506 C
-26.326 -2.311 10.758 C
-20.995 -2.666 4.059 C
-27.042 -4.978 11.269 C
-17.810 2.660 4.369 C
-19.295 6.373 7.172 C
-22.568 -1.666 6.159 C
-24.646 1.075 10.335 C
-20.344 4.335 8.794 C
-14.897 -0.113 5.040 C
-19.615 7.004 8.316 C
-24.604 4.185 16.129 C
-11.646 -3.053 0.137 C
-33.567 0.701 12.870 C
-17.229 -1.200 12.888 C
-31.366 1.368 13.153 C
-21.821 -0.613 5.788 C
-17.727 -5.376 7.343 C
-29.455 3.247 6.706 C
-25.255 -2.816 11.395 C
-13.213 -2.082 2.256 C
-12.737 -2.557 -0.471 C
-14.773 3.294 9.500 C
-13.997 0.038 7.170 C
-17.457 2.040 3.230 C
-17.950 -2.274 13.250 C
-33.094 2.778 13.783 C
-12.086 4.444 4.264 C
-22.445 1.741 10.618 C
-12.505 -1.010 1.861 C
-15.283 3.758 12.222 C
-3.774 0.927 2.789 C
-24.836 2.638 13.797 C
-19.885 -0.412 12.429 C
-4.248 -1.149 1.876 C
-10.210 -1.459 7.383 C
-11.015 3.940 4.900 C
-12.696 0.554 5.324 C
-19.391 3.903 2.409 C
-15.914 -3.235 7.459 C
-7.887 -1.619 8.953 C
-27.402 -4.329 12.389 C
-22.918 -0.335 9.705 C
-28.720 4.298 6.302 C
-18.046 -4.745 8.486 C
-15.521 2.241 9.871 C
-10.536 -0.799 8.507 C
-32.668 0.852 15.000 C
-9.940 5.957 3.269 C
-21.428 4.863 8.200 C
-4.674 0.776 0.659 C
-14.423 1.964 5.954 C
-27.132 3.087 8.276 C
-25.695 4.681 15.521 C
-16.346 4.294 11.600 C
-20.113 2.828 2.770 C
-8.621 -2.669 9.356 C
-23.345 1.590 8.488 C
-24.129 3.711 13.403 C
-10.299 6.607 4.390 C
-19.531 -1.032 11.290 C
-26.806 2.427 7.152 C
-16.997 -2.707 6.865 C
-22.059 -2.130 3.437 C
-26.667 3.933 9.640 Cl
-20.787 0.637 6.189 Cl
-17.917 -1.371 6.465 Cl
-23.876 -2.582 12.308 Cl
-11.149 0.563 9.256 Cl
-30.490 3.680 10.580 Cl
-22.152 -5.754 6.381 Cl
-16.268 1.519 2.178 Cl
-30.306 -1.652 11.573 Cl
-10.364 3.111 6.196 Cl
-14.045 8.055 4.016 Cl
-26.193 1.065 6.403 Cl
-23.941 -2.275 6.890 Cl
-21.294 1.698 2.423 Cl
-19.964 -3.958 4.301 Cl
-18.078 1.921 15.298 Cl
-26.978 -1.482 9.462 Cl
-14.968 -4.935 11.086 Cl
-14.265 -3.507 7.476 Cl
-23.076 5.136 8.183 Cl
-13.400 3.904 8.769 Cl
-23.296 -6.427 11.643 Cl
-19.263 -0.293 0.360 Cl
-16.554 0.991 9.470 Cl
-18.346 -4.798 10.129 Cl
-21.328 6.258 15.018 Cl
-19.424 2.999 9.194 Cl
-26.440 3.267 3.139 Cl
-16.048 -0.070 13.236 Cl
-8.762 -0.240 0.333 Cl
-15.189 7.383 9.278 Cl
-16.013 -4.630 0.641 Cl
-6.851 -2.052 5.079 Cl
-10.674 -2.304 6.019 Cl
-28.579 1.868 15.325 Cl
-10.902 -1.639 12.519 Cl
-18.996 6.426 5.530 Cl
-22.373 6.563 4.573 Cl
-12.325 0.649 1.775 Cl
-25.016 0.980 13.883 Cl
-17.922 2.664 6.035 Cl
-23.609 4.729 12.185 Cl
-7.035 3.280 4.086 Cl
-21.074 0.109 13.480 Cl
-19.420 -1.036 9.623 Cl
-13.466 4.210 3.351 Cl
-17.378 5.586 11.358 Cl
-13.733 -3.101 3.474 Cl
-24.816 3.804 14.713 N
-4.668 0.204 1.957 N
-12.525 -2.176 0.946 N
-28.028 3.265 7.109 N
-15.481 3.397 10.798 N
-9.313 -1.636 8.550 N
-21.861 -1.769 4.861 N
-18.649 -1.229 12.464 N
-14.003 0.611 5.872 N
-23.338 1.018 9.787 N
-20.171 5.644 8.120 N
-26.506 -3.609 11.453 N
-17.171 -4.016 7.538 N
-10.835 5.237 4.206 N
-32.674 1.425 13.701 N
-18.693 2.858 3.194 N
-4.646 -1.840 6.592 Pd
-10.813 3.193 8.841 Pd
-14.025 2.654 1.237 Pd
0.000 0.000 0.000 Pd
-18.671 0.814 7.829 Pd
-6.167 5.033 2.248 Pd
-12.503 -4.219 5.581 Pd
-7.858 -2.379 -1.011 Pd
```

Record 8
Density functional theory data (PBE-GGA) for crystalline KPrHfSnO6 at its relaxed geometry.

Values from the calculation:
E_form: -2.99 eV per atom
Magnetic moment: 0.00 μB/f.u.
E_tot: -75.280 eV/cell
Symmetry: F-43m, No. 216

Cell and atoms, written as POSCAR:
```
KPrHfSnO6
1.0
2.953 4.837 -1.266
-1.144 4.930 2.848
3.853 2.125 3.789
O K Pr Hf Sn
6 1 1 1 1
Cartesian
2.771 6.500 4.660 O
3.342 4.037 3.237 O
2.892 5.392 0.711 O
4.818 6.454 2.604 O
0.845 5.438 2.767 O
2.321 7.855 2.134 O
1.416 2.973 1.343 K
4.247 8.919 4.028 Pr
0.000 0.000 0.000 Hf
2.832 5.946 2.685 Sn
```

Record 9
Density functional theory data (PBE-GGA) for crystalline HfMnGe2 at its relaxed geometry.

Values from the calculation:
E_form: -0.47 eV per atom
E_tot: -362.726 eV/cell
Symmetry: Pbam, No. 55

Cell and atoms, written as POSCAR:
```
HfMnGe2
1.0
-2.265 0.711 -7.720
0.875 -9.100 -1.094
-9.631 -1.252 2.710
Ge Mn Hf
24 12 12
Cartesian
-2.522 -7.398 -5.494 Ge
-7.493 -6.403 -3.944 Ge
-3.280 -6.232 0.389 Ge
-8.061 -5.283 1.879 Ge
-5.144 -9.511 0.634 Ge
-0.871 -1.312 0.135 Ge
-9.211 -2.019 -3.037 Ge
-7.885 -9.040 1.481 Ge
-4.240 -3.015 -4.587 Ge
-5.476 -4.120 1.227 Ge
-3.612 -0.841 0.982 Ge
-0.695 -5.069 -0.263 Ge
-8.499 -2.243 -0.611 Ge
-6.559 -3.762 -2.647 Ge
-6.781 -6.626 -1.518 Ge
-1.822 -4.788 -4.131 Ge
-1.954 -0.946 -3.739 Ge
-3.528 -3.238 -2.160 Ge
-6.285 -9.082 -3.217 Ge
-4.462 -5.879 -3.457 Ge
-9.066 -8.695 -2.366 Ge
-4.736 -0.559 -2.887 Ge
-9.198 -4.853 -1.973 Ge
-1.810 -7.622 -3.068 Ge
-0.558 0.175 -1.901 Mn
-8.554 -4.136 -4.210 Mn
-7.421 -4.491 -0.348 Mn
-1.707 0.536 -5.819 Mn
-8.135 -8.688 -4.752 Mn
-4.018 -0.597 -5.214 Mn
-6.085 -4.640 -5.011 Mn
-3.600 -5.150 -5.756 Mn
-7.002 -9.044 -0.890 Mn
-2.467 -5.505 -1.895 Mn
-4.936 -5.001 -1.094 Mn
-2.886 -0.953 -1.353 Mn
-5.360 -7.565 -5.528 Hf
-6.829 -1.710 -4.558 Hf
-4.192 -7.931 -1.546 Hf
-7.758 -2.531 2.043 Hf
-2.794 -3.447 0.502 Hf
-5.962 -6.904 1.113 Hf
-9.143 -7.136 -0.020 Hf
-0.709 -2.872 -2.102 Hf
-0.998 -7.821 -0.427 Hf
-1.877 -2.505 -6.084 Hf
-10.312 -6.769 -4.002 Hf
-5.661 -2.076 -0.576 Hf
```

Record 10
Density functional theory data (PBE-GGA) for crystalline SrNdEuSbO6 at its relaxed geometry.

Values from the calculation:
E_form: -3.01 eV per atom
Magnetic moment: 7.00 μB/f.u.
E_tot: -153.107 eV/cell
Symmetry: P-1, No. 2
Distance to the lowest polymorph of the same formula: 0 meV/atom

Cell and atoms, written as POSCAR:
```
SrNdEuSbO6
1.0
5.920 -0.004 -0.017
-0.010 6.041 -0.004
-0.033 -0.013 8.447
O Eu Nd Sb Sr
12 2 2 2 2
Cartesian
1.614 4.145 4.661 O
3.489 0.209 6.494 O
4.816 4.683 3.758 O
1.286 1.126 8.032 O
1.857 4.344 7.981 O
0.590 2.832 2.280 O
4.591 4.898 0.395 O
1.062 1.341 4.669 O
2.389 5.815 1.932 O
5.288 3.192 6.146 O
4.263 1.879 3.766 O
4.021 1.680 0.445 O
2.852 2.725 6.337 Eu
3.026 3.299 2.089 Eu
2.944 -0.009 4.215 Nd
-0.005 3.021 -0.002 Nd
2.960 -0.002 -0.008 Sb
-0.021 3.014 4.222 Sb
0.037 5.753 6.325 Sr
5.841 0.271 2.101 Sr
```

Record 11
Density functional theory data (PBE-GGA) for crystalline PrHo3S6 at its relaxed geometry.

Values from the calculation:
E_form: -2.39 eV per atom
E_tot: -128.368 eV/cell
Symmetry: P2_1/m, No. 11

Cell and atoms, written as POSCAR:
```
PrHo3S6
1.0
3.987 0.000 0.000
0.000 11.085 0.000
0.000 3.657 10.706
Pr S Ho
2 12 6
Cartesian
0.997 5.710 2.080 Pr
2.990 9.032 8.625 Pr
0.997 11.307 8.259 S
2.990 11.531 4.716 S
0.997 0.652 1.198 S
2.990 6.116 8.015 S
2.990 6.125 4.342 S
0.997 3.212 5.990 S
0.997 8.626 2.691 S
2.990 14.090 9.508 S
2.990 6.992 0.389 S
2.990 3.436 2.447 S
0.997 7.751 10.316 S
0.997 8.617 6.363 S
2.990 12.865 7.140 Ho
0.997 5.903 6.279 Ho
2.990 5.646 10.693 Ho
0.997 1.877 3.566 Ho
2.990 8.840 4.427 Ho
0.997 9.096 0.013 Ho
```

Record 12
Density functional theory data (PBE-GGA) for crystalline LuAl3C3 at its relaxed geometry.

Values from the calculation:
E_form: -0.34 eV per atom
E_tot: -91.635 eV/cell
Symmetry: P6_3/mmc, No. 194

Cell and atoms, written as POSCAR:
```
LuAl3C3
1.0
1.702 -2.948 0.000
1.702 2.948 0.000
0.000 0.000 17.139
Al C Lu
6 6 2
Cartesian
1.702 0.983 2.263 Al
1.702 -0.983 14.876 Al
1.702 -0.983 10.833 Al
1.702 -0.983 4.285 Al
1.702 0.983 12.854 Al
1.702 0.983 6.306 Al
1.702 -0.983 1.547 C
1.702 -0.983 12.854 C
1.702 0.983 15.592 C
1.702 0.983 4.285 C
1.702 -0.983 7.022 C
1.702 0.983 10.116 C
0.000 0.000 0.000 Lu
0.000 0.000 8.569 Lu
```

Look up the E_tot of the first one. -126.570 eV/cell